No. 1
First-principles (PBE) data for a geometry-optimized TbNiSn4 structure, as listed in Materials Project.

Geometry as extended XYZ:
```
12
Lattice="0.682 11.100 -9.094 -3.398 -8.315 11.211 3.516 1.674 2.307" Properties=species:S:1:pos:R:3 pbc="T T T"
Sn -2.231 -2.762 5.404
Sn 0.400 2.230 2.212
Sn 0.844 4.341 0.004
Sn -0.485 5.548 -3.286
Sn 0.000 0.000 0.000
Sn -0.044 0.118 4.420
Sn 0.235 8.975 -6.871
Sn -2.951 -6.190 8.989
Tb 1.651 8.183 -4.014
Tb -0.851 -3.724 8.438
Ni -1.148 2.390 0.016
Ni -1.568 0.395 2.102
```

Output
Formation enthalpy at 0 K: -0.36 eV per atom
ρ: 8.08 g/cm³

=====

No. 2
First-principles (PBE) data for a geometry-optimized YAgTe2 structure, as listed in Materials Project.

Geometry as extended XYZ:
```
8
Lattice="-0.219 -1.028 4.628 -6.851 -1.824 -0.730 1.937 -6.714 -1.399" Properties=species:S:1:pos:R:3 pbc="T T T"
Te -4.571 -3.363 2.500
Te -0.864 -2.669 0.770
Te -0.655 -6.638 1.958
Te -4.176 -6.462 -0.230
Y 0.792 -4.184 3.026
Y -3.468 -1.112 0.537
Ag 0.000 0.000 0.000
Ag -2.457 -4.269 -1.064
```

Output
Formation enthalpy at 0 K: -1.14 eV per atom
Total energy after the MP2020 corrections: -40.28 eV for the cell shown
Piezoelectric modulus e_max: 0.3 C/m²
ρ: 6.23 g/cm³

=====

No. 3
First-principles (PBE) data for a geometry-optimized YCd20Ni2 structure, as listed in Materials Project.

Geometry as extended XYZ:
```
46
Lattice="-1.547 3.300 10.549 3.568 10.053 3.283 -7.370 8.059 2.302" Properties=species:S:1:pos:R:3 pbc="T T T"
Ni -0.669 2.676 2.017
Ni 1.115 7.703 3.658
Ni -4.353 6.706 3.168
Ni -1.442 4.326 7.291
Cd -4.984 12.853 12.961
Cd -6.959 15.012 13.577
Cd -4.259 18.577 9.742
Cd -1.186 16.064 14.095
Cd -0.052 6.077 5.611
Cd -2.622 4.629 2.456
Cd -0.771 15.180 11.269
Cd -1.646 7.380 3.354
Cd -4.544 13.393 6.952
Cd -7.208 11.180 11.542
Cd 1.860 10.232 4.592
Cd -4.661 19.434 12.484
Cd 0.342 9.353 8.933
Cd -1.855 5.327 9.870
Cd -0.142 12.637 9.416
Cd -3.493 16.085 6.264
Cd -0.655 9.140 5.737
Cd -1.471 10.881 11.305
Cd -3.343 13.382 10.084
Cd -1.701 13.912 7.207
Cd 0.273 11.753 6.590
Cd -3.045 5.532 5.343
Cd -2.285 16.418 9.125
Cd -6.085 8.783 3.880
Cd -6.031 17.625 14.431
Cd -5.500 10.700 6.073
Cd -6.544 14.128 10.751
Cd 0.371 5.174 2.724
Cd -1.029 3.326 4.713
Cd -2.570 11.732 4.809
Cd -5.915 11.584 8.899
Cd -5.215 15.883 8.863
Cd -4.401 10.347 11.042
Cd -5.127 8.356 8.442
Cd -2.142 13.371 13.215
Cd -3.101 18.159 14.693
Cd -2.427 8.188 10.425
Cd -3.585 8.606 5.474
Cd 0.736 12.628 12.254
Cd -2.025 7.331 7.684
Y -4.012 16.059 12.101
Y -2.674 10.706 8.067
```

Output
Formation enthalpy at 0 K: -0.09 eV per atom
ρ: 8.29 g/cm³

=====

No. 4
First-principles (PBE) data for a geometry-optimized TiN structure, as listed in Materials Project.

Geometry as extended XYZ:
```
2
Lattice="1.030 2.500 1.811 -1.812 1.064 2.485 0.981 -0.504 3.062" Properties=species:S:1:pos:R:3 pbc="T T T"
Ti 0.000 0.000 0.000
N 0.050 0.765 1.840
```

Output
Formation enthalpy at 0 K: -1.60 eV per atom
Total energy after the MP2020 corrections: -19.42 eV for the cell shown
ρ: 4.22 g/cm³

=====

No. 5
First-principles (PBE) data for a geometry-optimized DyTc2 structure, as listed in Materials Project.

Geometry as extended XYZ:
```
12
Lattice="-2.682 -4.646 0.000 -2.682 4.646 0.000 0.000 0.000 -8.915" Properties=species:S:1:pos:R:3 pbc="T T T"
Tc 0.000 0.000 -4.457
Tc -3.985 -0.797 -6.686
Tc -1.380 -0.797 -6.686
Tc -2.682 -3.053 -6.686
Tc -3.985 0.797 -2.229
Tc -1.380 0.797 -2.229
Tc -2.682 3.053 -2.229
Tc 0.000 0.000 0.000
Dy -2.682 -1.549 -3.890
Dy -2.682 1.549 -8.347
Dy -2.682 -1.549 -0.568
Dy -2.682 1.549 -5.025
```

Output
Formation enthalpy at 0 K: -0.18 eV per atom
ρ: 10.72 g/cm³

=====

No. 6
First-principles (PBE) data for a geometry-optimized Sb2C4O structure, as listed in Materials Project.

Geometry as extended XYZ:
```
28
Lattice="-5.290 -0.536 -3.413 2.165 -7.178 -2.229 -7.609 -6.263 12.776" Properties=species:S:1:pos:R:3 pbc="T T T"
C -9.213 -5.512 6.258
C -8.382 -5.406 5.348
C -3.541 -8.218 -1.879
C -7.758 -7.680 3.451
C -3.496 -9.317 1.200
C -2.804 -9.977 1.981
C -2.673 -4.050 -1.237
C -3.181 -4.956 3.064
C -2.707 -4.886 1.924
C -3.046 -4.445 -2.346
C -7.860 -5.851 11.183
C -8.649 -8.501 3.212
C -6.650 -6.085 11.094
C -6.621 -10.162 8.652
C -3.284 -7.429 -2.796
C -6.007 -9.337 7.966
Sb -5.253 -8.889 6.047
Sb -9.776 -6.592 7.980
Sb -1.529 -3.743 0.599
Sb -3.745 -5.689 -3.937
Sb -7.592 -12.046 8.870
Sb -6.637 -6.088 4.334
Sb -4.910 -8.728 -0.358
Sb -3.494 -4.128 5.002
O -7.779 -12.162 6.894
O -0.334 -5.248 0.119
O -6.109 -7.105 5.958
O -7.247 -3.438 1.298
```

Output
Formation enthalpy at 0 K: 0.69 eV per atom
Total energy after the MP2020 corrections: -181.17 eV for the cell shown
E above lowest polymorph: 7.4 kJ per mole of atoms
ρ: 2.56 g/cm³

=====

No. 7
First-principles (PBE) data for a geometry-optimized Y2O3F3 structure, as listed in Materials Project.

Geometry as extended XYZ:
```
8
Lattice="2.904 -5.030 0.000 2.904 5.030 0.000 0.000 0.000 3.893" Properties=species:S:1:pos:R:3 pbc="T T T"
Y 0.000 0.000 0.000
Y 2.904 1.677 1.947
F 1.468 -0.147 1.947
F 4.947 -1.198 1.947
F 2.297 -3.685 1.947
O 1.607 1.747 0.000
O 3.492 0.518 0.000
O 3.614 2.765 0.000
```

Output
Formation enthalpy at 0 K: -3.16 eV per atom
Total energy after the MP2020 corrections: -58.79 eV for the cell shown
ρ: 4.13 g/cm³

=====

No. 8
First-principles (PBE) data for a geometry-optimized CeBrO structure, as listed in Materials Project.

Geometry as extended XYZ:
```
6
Lattice="4.015 0.000 0.000 0.000 4.015 0.000 0.000 0.000 8.194" Properties=species:S:1:pos:R:3 pbc="T T T"
Ce 2.008 0.000 6.971
Ce 0.000 2.008 1.223
O 0.000 0.000 0.000
O 2.008 2.008 0.000
Br 0.000 2.008 5.369
Br 2.008 0.000 2.825
```

Output
Formation enthalpy at 0 K: -3.05 eV per atom
Total energy after the MP2020 corrections: -43.34 eV for the cell shown
ρ: 5.93 g/cm³

=====

No. 9
First-principles (PBE) data for a geometry-optimized EuAsO4 structure, as listed in Materials Project.

Geometry as extended XYZ:
```
12
Lattice="5.096 -2.668 2.090 0.681 5.689 -2.152 -3.832 0.390 4.756" Properties=species:S:1:pos:R:3 pbc="T T T"
O -1.362 0.294 4.269
O 3.627 -0.960 2.930
O 1.339 2.087 0.447
O 2.496 1.222 3.865
O 0.865 -0.490 2.189
O -0.185 2.824 3.486
O 4.100 1.617 1.187
O 1.319 -1.307 4.647
Eu -0.131 3.795 1.287
Eu 0.000 0.000 0.000
As 2.077 -0.384 3.408
As 2.889 1.511 -0.031
```

Output
Formation enthalpy at 0 K: -2.46 eV per atom
Total energy after the MP2020 corrections: -98.95 eV for the cell shown
ρ: 5.52 g/cm³

=====

No. 10
First-principles (PBE) data for a geometry-optimized ZnCu2SnSe3S structure, as listed in Materials Project.

Geometry as extended XYZ:
```
8
Lattice="-2.093 -2.966 -4.384 4.375 -3.625 0.381 -4.115 0.066 5.604" Properties=species:S:1:pos:R:3 pbc="T T T"
Sn 1.107 -3.261 -1.956
Cu -2.436 -3.070 -0.373
Cu -0.007 -0.102 -0.004
S -0.260 -2.393 -0.036
Se 0.988 -5.873 -2.090
Se -0.500 -2.532 3.952
Se -3.905 -2.246 1.385
Zn 0.655 -3.391 1.923
```

Output
Formation enthalpy at 0 K: -0.47 eV per atom
Total energy after the MP2020 corrections: -31.84 eV for the cell shown
E above lowest polymorph: 0.0 kJ per mole of atoms
ρ: 5.23 g/cm³

=====

No. 11
First-principles (PBE) data for a geometry-optimized Eu4Pt structure, as listed in Materials Project.

Geometry as extended XYZ:
```
10
Lattice="0.805 -1.174 8.463 7.246 -3.298 3.205 5.337 4.963 4.532" Properties=species:S:1:pos:R:3 pbc="T T T"
Eu 1.772 0.065 2.145
Eu 4.859 1.855 8.498
Eu 8.268 0.303 10.006
Eu 7.889 0.855 6.024
Eu 2.151 -0.487 6.126
Eu 5.181 -1.487 3.653
Eu 4.283 2.400 4.277
Eu 5.757 -2.031 7.874
Pt 10.040 0.368 12.151
Pt 0.000 0.000 0.000
```

Output
Formation enthalpy at 0 K: -0.15 eV per atom
ρ: 5.97 g/cm³

=====

No. 12
First-principles (PBE) data for a geometry-optimized Ho3PbC structure, as listed in Materials Project.

Geometry as extended XYZ:
```
5
Lattice="-0.635 4.115 2.560 -4.837 -0.697 -0.079 0.299 -2.544 4.163" Properties=species:S:1:pos:R:3 pbc="T T T"
Ho -0.317 2.058 1.280
Ho -2.419 -0.349 -0.039
Ho 0.149 -1.272 2.082
Pb -2.587 0.437 3.322
C 0.000 0.000 0.000
```

Output
Formation enthalpy at 0 K: -0.55 eV per atom
ρ: 10.15 g/cm³